1.
A relaxed TbGa3 crystal, computed with meta-GGA r2SCAN.

M_tot, μB per cell: 0.00
VASP energy, eV/atom: -16.995
ρ, g/cm3: 7.98

Cell lengths 6.2801, 6.2801, 4.4864 Å; angles 90.00, 90.00, 120.00 degrees
Fractional coordinates of all 8 atoms:
Tb 0.3333 0.6667 0.7500
Tb 0.6667 0.3333 0.2500
Ga 0.1446 0.2891 0.2500
Ga 0.7109 0.8554 0.2500
Ga 0.1446 0.8554 0.2500
Ga 0.8554 0.7109 0.7500
Ga 0.2891 0.1446 0.7500
Ga 0.8554 0.1446 0.7500


2.
A relaxed GaTc crystal, computed with meta-GGA r2SCAN.

M_tot, μB per cell: 0.00
VASP energy, eV/atom: -18.795
ρ, g/cm3: 9.65

Cell lengths 2.8591, 2.8587, 4.0763 Å; angles 90.00, 90.00, 120.00 degrees
Fractional coordinates of all 2 atoms:
Ga 0.6667 0.3334 0.7500
Tc 0.3333 0.6666 0.2500


3.
A relaxed Ga3Tc crystal, computed with meta-GGA r2SCAN.

M_tot, μB per cell: 0.00
VASP energy, eV/atom: -15.134
ρ, g/cm3: 8.77

Cell lengths 4.8534, 4.8534, 4.8534 Å; angles 134.02, 134.02, 67.06 degrees
Fractional coordinates of all 4 atoms:
Ga 0.7500 0.2500 0.5000
Ga 0.2500 0.7500 0.5000
Ga 0.5000 0.5000 0.0000
Tc 0.0000 0.0000 0.0000


4.
A relaxed Ti2GaTc crystal, computed with meta-GGA r2SCAN.

M_tot, μB per cell: 0.00
VASP energy, eV/atom: -16.344
ρ, g/cm3: 7.22

Cell lengths 4.4089, 4.4089, 4.4089 Å; angles 60.00, 60.00, 60.00 degrees
Fractional coordinates of all 4 atoms:
Ti 0.7500 0.7500 0.7500
Ti 0.2500 0.2500 0.2500
Ga 0.5000 0.5000 0.5000
Tc 0.0000 0.0000 0.0000


5.
A relaxed Ga7Te10 crystal, computed with meta-GGA r2SCAN.

M_tot, μB per cell: 0.00
VASP energy, eV/atom: -20.073
ρ, g/cm3: 5.29

Cell lengths 10.3445, 10.3445, 10.3445 Å; angles 89.63, 89.63, 89.63 degrees
Fractional coordinates of all 34 atoms:
Ga 0.5692 0.5692 0.5692
Ga 0.4308 0.4308 0.4308
Ga 0.1666 0.3412 0.7448
Ga 0.7448 0.1666 0.3412
Ga 0.3412 0.7448 0.1666
Ga 0.6588 0.8334 0.2552
Ga 0.2552 0.6588 0.8334
Ga 0.8334 0.2552 0.6588
Ga 0.8857 0.5775 0.8467
Ga 0.8467 0.8857 0.5775
Ga 0.5775 0.8467 0.8857
Ga 0.4225 0.1143 0.1533
Ga 0.1533 0.4225 0.1143
Ga 0.1143 0.1533 0.4225
Te 0.8311 0.8311 0.8311
Te 0.1689 0.1689 0.1689
Te 0.8241 0.0000 0.1759
Te 0.1759 0.8241 0.0000
Te 0.0000 0.1759 0.8241
Te 0.9164 0.5000 0.0836
Te 0.0836 0.9164 0.5000
Te 0.5000 0.0836 0.9164
Te 0.6853 0.4384 0.7619
Te 0.7619 0.6853 0.4384
Te 0.4384 0.7619 0.6853
Te 0.5616 0.3147 0.2381
Te 0.2381 0.5616 0.3147
Te 0.3147 0.2381 0.5616
Te 0.0744 0.5729 0.6715
Te 0.6715 0.0744 0.5729
Te 0.5729 0.6715 0.0744
Te 0.4271 0.9256 0.3285
Te 0.3285 0.4271 0.9256
Te 0.9256 0.3285 0.4271


6.
A relaxed GaTe crystal, computed with meta-GGA r2SCAN.

M_tot, μB per cell: 0.00
VASP energy, eV/atom: -18.873
ρ, g/cm3: 5.15

Cell lengths 4.1060, 9.2619, 10.7367 Å; angles 106.24, 90.00, 102.81 degrees
Fractional coordinates of all 12 atoms:
Ga 0.1384 0.2768 0.4152
Ga 0.8616 0.7232 0.5848
Ga 0.2373 0.4746 0.3029
Ga 0.7627 0.5254 0.6971
Ga 0.5623 0.1245 0.0831
Ga 0.4377 0.8755 0.9169
Te 0.1522 0.3045 0.0549
Te 0.8478 0.6955 0.9451
Te 0.1645 0.3290 0.6716
Te 0.8355 0.6710 0.3284
Te 0.5429 0.0858 0.3234
Te 0.4571 0.9142 0.6766